Record 1
62
Lattice="6.448 0.000 0.000 0.000 12.400 0.000 -2.010 0.000 8.991" Properties=species:S:1:pos:R:3 comment="PBE K2CuH12Se2O14, relaxed" space_group=P2_1/c rho_g_cm3=2.5 total_energy_ev_per_atom=-5.024 corrected_energy_ev_per_atom=-5.33 pbc="T T T"
K 0.283 2.020 3.196
K -0.722 4.180 7.692
K 5.160 8.219 1.300
K 4.155 10.380 5.795
Cu 3.224 0.000 0.000
Cu 2.219 6.200 4.496
H -0.461 1.126 6.993
H 0.544 5.073 2.497
H 0.240 7.883 4.296
H -0.765 10.716 8.791
H 0.013 6.895 5.536
H 1.019 11.704 1.040
H 0.991 1.631 6.609
H 1.996 4.569 2.114
H 2.238 7.404 2.169
H 1.232 11.195 6.665
H 2.927 2.297 1.184
H 1.922 3.903 5.679
H 2.517 8.497 3.312
H 1.512 10.102 7.808
H 3.206 1.204 2.326
H 2.201 4.995 6.822
H 2.442 7.831 6.878
H 3.447 10.768 2.382
H 3.420 0.695 7.951
H 4.425 5.504 3.455
H 5.204 1.683 0.200
H 4.198 4.516 4.696
H 3.894 7.326 6.494
H 4.899 11.273 1.999
Se -0.322 7.929 8.292
Se 0.683 10.670 3.797
Se 3.756 1.729 5.195
Se 4.761 4.470 0.699
O -1.336 9.269 8.243
O -0.331 9.330 3.748
O -0.745 6.907 7.029
O 0.260 11.693 2.533
O 0.409 6.945 4.617
O 1.414 11.654 0.121
O 1.448 7.115 0.738
O 0.443 11.485 5.234
O 0.355 1.543 7.361
O 1.360 4.657 2.866
O 2.704 1.362 1.467
O 1.699 4.838 5.963
O 1.279 8.436 8.146
O 2.284 10.164 3.651
O 2.155 2.236 5.341
O 3.160 3.964 0.845
O 2.739 7.562 3.029
O 1.734 11.038 7.524
O 3.079 7.742 6.126
O 4.084 10.857 1.630
O 3.996 0.915 3.757
O 2.991 5.285 8.253
O 3.024 0.745 8.870
O 4.029 5.455 4.375
O 4.178 0.707 6.459
O 5.183 5.493 1.963
O 4.770 3.069 5.244
O 5.775 3.130 0.748

Record 2
28
Lattice="10.493 0.000 0.000 0.000 3.531 0.000 0.000 0.000 12.212" Properties=species:S:1:pos:R:3 comment="PBE BaTl2O4, relaxed" space_group=Pnma rho_g_cm3=9.0 total_energy_ev_per_atom=-5.053 polymorph_energy_mev_per_atom=0.0 corrected_energy_ev_per_atom=-5.45 pbc="T T T"
Ba 2.573 0.883 1.856
Ba 2.673 2.648 7.962
Ba 7.820 0.883 4.250
Ba 7.920 2.648 10.356
Tl 0.779 0.883 4.784
Tl 0.824 0.883 10.900
Tl 4.422 2.648 4.794
Tl 4.467 2.648 10.890
Tl 6.025 0.883 1.322
Tl 6.070 0.883 7.418
Tl 9.669 2.648 1.312
Tl 9.714 2.648 7.428
O 0.229 2.648 9.544
O 0.810 0.883 7.015
O 1.262 2.648 0.216
O 2.175 2.648 4.065
O 3.071 0.883 10.171
O 3.984 0.883 6.322
O 4.436 2.648 0.909
O 5.018 0.883 3.438
O 5.475 2.648 8.774
O 6.056 0.883 11.303
O 6.509 2.648 5.889
O 7.421 2.648 2.041
O 8.318 0.883 8.147
O 9.230 0.883 11.995
O 9.683 2.648 5.197
O 10.264 0.883 2.668

Record 3
66
Lattice="4.830 -15.652 0.000 4.830 15.652 0.000 -0.217 0.000 7.459" Properties=species:S:1:pos:R:3 comment="PBE SiO2, relaxed" space_group=C2/m rho_g_cm3=1.9 total_energy_ev_per_atom=-7.903 corrected_energy_ev_per_atom=-8.36 pbc="T T T"
Si 1.695 4.793 6.240
Si 1.104 1.542 2.728
Si 4.830 13.078 0.000
Si 2.902 6.179 1.367
Si 1.104 -1.542 2.728
Si 3.179 3.809 3.566
Si 4.603 8.471 5.329
Si 4.840 8.471 2.129
Si 1.695 -4.793 6.240
Si 3.179 -3.809 3.566
Si 6.541 6.179 6.092
Si 2.902 -6.179 1.367
Si 6.264 3.809 3.893
Si 7.747 4.793 1.218
Si 4.603 -8.471 5.329
Si 4.840 -8.471 2.129
Si 6.264 -3.809 3.893
Si 8.339 1.542 4.731
Si 6.541 -6.179 6.092
Si 4.830 -13.078 0.000
Si 8.339 -1.542 4.731
Si 7.747 -4.793 1.218
O 0.992 3.482 6.888
O 0.595 1.645 1.186
O 3.049 8.583 5.790
O 4.721 13.702 3.729
O 4.094 9.847 1.689
O 0.595 -1.645 1.186
O 2.630 5.512 7.358
O 2.604 4.341 4.984
O 3.067 5.038 2.500
O 2.348 2.530 3.018
O 1.570 0.000 3.000
O 4.161 7.204 1.409
O 0.992 -3.482 6.888
O 4.721 8.262 3.729
O 5.348 9.847 5.770
O 2.348 -2.530 3.018
O 5.282 7.204 6.049
O 4.721 3.364 3.729
O 6.394 8.583 1.668
O 2.604 -4.341 4.984
O 2.630 -5.512 7.358
O 3.067 -5.038 2.500
O 6.375 5.038 4.959
O 6.813 5.512 0.101
O 6.838 4.341 2.475
O 3.049 -8.583 5.790
O 4.721 -3.364 3.729
O 4.161 -7.204 1.409
O 7.095 2.530 4.440
O 4.094 -9.847 1.689
O 4.721 -8.262 3.729
O 8.451 3.482 0.571
O 5.282 -7.204 6.049
O 7.872 0.000 4.459
O 7.095 -2.530 4.440
O 6.375 -5.038 4.959
O 6.838 -4.341 2.475
O 6.813 -5.512 0.101
O 8.848 1.645 6.273
O 5.348 -9.847 5.770
O 4.721 -13.702 3.729
O 6.394 -8.583 1.668
O 8.848 -1.645 6.273
O 8.451 -3.482 0.571

Record 4
48
Lattice="4.993 0.000 0.000 0.000 10.548 0.000 0.000 0.000 14.399" Properties=species:S:1:pos:R:3 comment="PBE CsSi3HO7, relaxed" space_group=P2_12_12_1 rho_g_cm3=2.9 total_energy_ev_per_atom=-7.106 corrected_energy_ev_per_atom=-7.51 pbc="T T T"
Cs 0.153 0.857 3.598
Cs 2.344 9.691 10.797
Cs 2.650 4.417 10.801
Cs 4.840 6.131 3.602
Si 0.106 9.663 7.311
Si 0.129 6.870 8.749
Si 0.514 2.150 8.003
Si 1.983 8.398 0.804
Si 2.368 3.678 1.550
Si 2.391 0.885 0.112
Si 2.602 6.159 7.087
Si 2.626 8.952 5.649
Si 3.011 3.124 6.395
Si 4.479 7.424 13.595
Si 4.864 1.596 12.849
Si 4.888 4.389 14.286
H 0.134 7.338 11.329
H 2.363 3.210 4.130
H 2.631 8.484 3.069
H 4.859 2.064 10.269
O 0.129 2.737 9.459
O 0.271 8.499 8.445
O 0.465 7.915 0.415
O 0.493 6.537 10.256
O 0.503 0.503 8.057
O 1.068 6.083 7.632
O 1.067 9.379 6.021
O 1.429 1.169 13.220
O 1.429 4.465 0.432
O 1.994 10.046 0.858
O 2.004 4.012 3.056
O 2.031 2.634 7.614
O 2.225 2.049 1.245
O 2.367 7.811 2.260
O 2.626 2.537 4.940
O 2.768 7.323 5.954
O 2.962 7.908 13.984
O 2.989 9.286 4.143
O 3.000 4.772 6.342
O 3.564 6.443 8.378
O 3.565 9.739 6.767
O 3.925 0.809 13.966
O 3.926 4.105 1.179
O 4.490 5.777 13.541
O 4.500 1.262 11.342
O 4.528 2.640 6.784
O 4.722 3.225 13.153
O 4.864 8.011 12.139

Record 5
12
Lattice="17.466 0.000 0.000 0.000 3.886 0.000 0.000 0.000 3.900" Properties=species:S:1:pos:R:3 comment="PBE ErAsSe, relaxed" space_group=Pnma rho_g_cm3=8.1 total_energy_ev_per_atom=-5.649 corrected_energy_ev_per_atom=-5.81 pbc="T T T"
Er 2.428 0.972 0.939
Er 6.305 2.915 2.889
Er 11.161 0.972 1.011
Er 15.038 2.915 2.961
As 0.014 0.972 2.822
As 8.719 2.915 0.872
As 8.748 0.972 3.028
As 17.452 2.915 1.078
Se 3.281 2.915 2.894
Se 5.453 0.972 0.944
Se 12.014 2.915 2.956
Se 14.186 0.972 1.006

Record 6
28
Lattice="9.750 0.000 0.000 0.000 6.159 0.000 0.000 0.000 8.185" Properties=species:S:1:pos:R:3 comment="PBE Li5SbS, relaxed" space_group=Pnma rho_g_cm3=2.5 total_energy_ev_per_atom=-3.412 polymorph_energy_mev_per_atom=17.2 corrected_energy_ev_per_atom=-3.48 pbc="T T T"
Li 0.813 0.089 1.326
Li 0.813 2.991 1.326
Li 1.263 3.095 4.491
Li 1.263 6.143 4.491
Li 1.806 1.540 6.754
Li 3.069 4.619 2.661
Li 3.612 0.015 0.398
Li 3.612 3.064 0.398
Li 4.062 3.168 5.418
Li 4.062 6.070 5.418
Li 5.688 0.089 2.766
Li 5.688 2.991 2.766
Li 6.138 3.095 7.786
Li 6.138 6.143 7.786
Li 6.681 1.540 5.524
Li 7.943 4.619 1.431
Li 8.487 0.015 3.694
Li 8.487 3.064 3.694
Li 8.936 3.168 6.859
Li 8.936 6.070 6.859
Sb 1.691 4.619 7.096
Sb 3.184 1.540 3.003
Sb 6.566 4.619 5.181
Sb 8.059 1.540 1.089
S 0.361 4.619 2.924
S 4.513 1.540 7.016
S 5.236 4.619 1.169
S 9.388 1.540 5.261

Record 7
20
Lattice="3.875 0.000 0.000 -1.937 3.355 0.000 0.000 0.000 31.709" Properties=species:S:1:pos:R:3 comment="PBE MnZn4S5, relaxed" space_group=P3m1 rho_g_cm3=3.8 total_energy_ev_per_atom=-4.234 polymorph_energy_mev_per_atom=0.0 corrected_energy_ev_per_atom=-4.49 pbc="T T T"
Mn 0.000 0.000 0.000
Mn 0.000 0.000 6.342
Zn 0.000 0.000 12.692
Zn 0.000 0.000 19.034
Zn 0.000 0.000 25.376
Zn 1.937 1.118 3.178
Zn 1.937 1.118 9.527
Zn 1.937 1.118 15.863
Zn 1.937 1.118 22.205
Zn 1.937 1.118 28.539
S 0.000 0.000 3.953
S 0.000 0.000 10.318
S 0.000 0.000 16.659
S 0.000 0.000 23.001
S 0.000 0.000 29.320
S 1.937 1.118 0.836
S 1.937 1.118 7.181
S 1.937 1.118 13.488
S 1.937 1.118 19.830
S 1.937 1.118 26.170

Record 8
100
Lattice="9.929 0.000 0.000 0.647 10.158 0.000 0.048 0.248 11.098" Properties=species:S:1:pos:R:3 comment="PBE Al2O3, relaxed" space_group=P1 rho_g_cm3=3.0 total_energy_ev_per_atom=-7.281 corrected_energy_ev_per_atom=-7.69 pbc="T T T"
Al 0.000 0.000 0.000
Al 0.486 7.105 3.073
Al 0.414 3.870 7.827
Al 1.027 10.197 7.622
Al 0.614 1.678 2.929
Al 1.107 7.070 0.218
Al 1.152 4.470 1.983
Al 2.002 7.770 5.534
Al 2.532 4.967 9.892
Al 2.365 2.167 0.593
Al 2.574 1.476 5.671
Al 3.284 9.812 0.717
Al 2.799 0.925 8.781
Al 3.388 8.049 9.480
Al 3.449 3.176 3.771
Al 3.752 7.865 2.925
Al 3.702 5.186 1.521
Al 3.664 3.472 7.565
Al 4.243 9.027 7.083
Al 4.783 6.327 7.024
Al 4.990 0.661 2.064
Al 5.399 5.791 3.978
Al 5.658 9.144 4.750
Al 5.478 5.743 9.682
Al 5.707 7.908 0.702
Al 5.547 0.926 8.813
Al 6.478 2.734 3.228
Al 7.352 9.373 7.129
Al 7.098 4.267 5.517
Al 7.255 0.847 0.336
Al 7.447 3.176 8.808
Al 7.930 8.954 2.313
Al 7.584 1.598 6.286
Al 8.086 6.441 0.694
Al 8.812 8.676 9.226
Al 8.670 5.448 9.546
Al 9.200 6.608 6.758
Al 9.657 9.663 4.776
Al 9.511 3.158 0.131
Al 10.127 4.935 5.113
O 0.626 5.313 3.475
O 0.563 3.616 6.118
O 0.773 6.545 5.787
O 1.073 9.235 5.958
O 1.704 8.716 0.482
O 1.452 3.860 10.943
O 1.303 0.917 1.480
O 2.124 7.702 3.699
O 2.038 5.873 1.294
O 2.119 6.740 9.859
O 1.814 1.268 7.295
O 1.880 1.047 10.288
O 2.117 4.083 8.380
O 1.988 2.068 4.066
O 2.619 9.095 8.211
O 2.739 3.488 1.951
O 3.496 7.407 6.376
O 3.563 2.994 5.830
O 4.101 9.451 2.321
O 4.151 10.051 5.513
O 3.908 4.933 3.449
O 4.236 8.748 10.880
O 3.820 1.198 0.739
O 4.128 5.045 10.803
O 4.083 2.213 8.728
O 4.532 6.761 1.740
O 4.807 9.959 8.509
O 4.575 4.883 8.063
O 4.771 7.184 8.668
O 5.035 7.559 4.118
O 4.776 2.101 3.340
O 5.719 5.498 5.745
O 5.935 8.474 6.449
O 6.496 9.659 0.830
O 6.617 9.768 3.389
O 6.462 6.791 10.818
O 6.110 0.988 7.138
O 6.583 4.544 3.520
O 6.660 1.939 9.844
O 6.648 1.798 1.731
O 6.992 4.896 9.197
O 7.316 9.538 9.006
O 7.174 7.401 1.882
O 7.340 3.328 7.073
O 7.318 2.573 4.779
O 8.161 9.927 5.618
O 8.611 8.040 7.507
O 8.454 5.479 5.556
O 8.650 4.736 0.223
O 8.980 9.564 0.914
O 9.073 7.189 10.183
O 9.247 8.331 3.616
O 8.999 1.776 11.094
O 9.031 1.196 7.236
O 9.208 3.534 9.256
O 9.682 5.585 8.087
O 9.742 6.835 1.457
O 9.376 0.826 3.785
O 10.238 9.705 9.342
O 9.929 3.138 1.997

Record 9
12
Lattice="9.697 0.000 0.000 0.000 5.675 0.000 -3.331 0.000 5.205" Properties=species:S:1:pos:R:3 comment="PBE Mg2Sn, relaxed" space_group=C2/c rho_g_cm3=3.9 total_energy_ev_per_atom=-2.469 pbc="T T T"
Mg 0.790 0.475 1.317
Mg -0.876 5.200 3.919
Mg 0.728 2.363 3.889
Mg 2.393 3.312 1.286
Mg 3.973 2.363 3.919
Mg 5.638 3.312 1.317
Mg 7.242 0.475 1.286
Mg 5.576 5.200 3.889
Sn -2.498 2.301 3.904
Sn -0.833 3.373 1.301
Sn 4.016 0.536 1.301
Sn 2.350 5.139 3.904